Here is crystalline ZrHg3S2Cl6 at its relaxed geometry from the Materials Project. Energies are from PBE.

Summary:
- energy of formation (eV/atom) = -1.377
- energy (eV/f.u.) = -40.66

a b c (Å): 6.7841 7.5446 13.2843
angles (deg): 90.00 91.47 90.00
Space group P2_1/c (No. 14)
Symmetry-distinct sites (fractional):
Zr 0.0000 0.0000 0.0000
Hg 0.4916 0.2053 0.2405
Hg 0.5000 0.0000 0.5000
S 0.3474 0.5390 0.8320
Cl 0.1331 0.2130 0.5638
Cl 0.1475 0.0494 0.8327
Cl 0.3135 0.6468 0.5594